Entry 1:
A geometry-optimized Th2Se5 structure. Source: the Materials Project, functional GGA-PBE.

Cell lengths 8.009, 8.025, 10.785 Å; angles 90.00, 90.00, 90.00 degrees
Fractional positions:
1 Se 0.370 0.379 0.393
2 Se 0.114 0.635 0.397
3 Se 0.500 0.750 0.252
4 Se 0.630 0.621 0.607
5 Se 0.130 0.879 0.107
6 Se 0.614 0.365 0.103
7 Se 0.614 0.865 0.897
8 Se 0.870 0.621 0.107
9 Se 0.130 0.379 0.893
10 Se 0.386 0.635 0.897
11 Se 0.870 0.121 0.893
12 Se 0.886 0.365 0.603
13 Se 0.000 0.750 0.752
14 Se 0.886 0.865 0.397
15 Se 0.000 0.250 0.248
16 Se 0.500 0.250 0.748
17 Se 0.114 0.135 0.603
18 Se 0.630 0.121 0.393
19 Se 0.386 0.135 0.103
20 Se 0.370 0.879 0.607
21 Th 0.242 0.508 0.147
22 Th 0.742 0.492 0.353
23 Th 0.258 0.008 0.353
24 Th 0.758 0.992 0.147
25 Th 0.742 0.992 0.647
26 Th 0.258 0.508 0.647
27 Th 0.242 0.008 0.853
28 Th 0.758 0.492 0.853

## Properties
- Total energy after the MP2020 corrections: -6.496 eV/atom
- Energy of formation from the pure elements: -181.5 kJ/mol of atoms
- Space-group type: Pbcn (60)



Entry 2:
A geometry-optimized MgZn2Sb4O12 structure. Source: the Materials Project, functional GGA-PBE.

Cell lengths 5.338, 5.591, 7.806 Å; angles 92.87, 89.20, 89.82 degrees
Fractional positions:
1 O 0.673 0.410 0.047
2 O 0.321 0.644 0.573
3 O 0.618 0.066 0.735
4 O 0.680 0.269 0.424
5 O 0.133 0.440 0.249
6 O 0.390 0.868 0.272
7 O 0.313 0.715 0.925
8 O 0.190 0.259 0.906
9 O 0.796 0.747 0.426
10 O 0.862 0.541 0.738
11 O 0.173 0.154 0.562
12 O 0.861 0.871 0.016
13 Mg 0.493 0.442 0.780
14 Sb 0.005 0.540 0.004
15 Sb 0.494 0.007 0.039
16 Sb 0.997 0.468 0.498
17 Sb 0.502 0.963 0.503
18 Zn 0.510 0.511 0.273
19 Zn 0.984 0.013 0.780

## Properties
- Total energy after the MP2020 corrections: -6.082 eV/atom
- Energy of formation from the pure elements: -180.5 kJ/mol of atoms
- Space-group type: P1 (1)
- Excess energy over the best structure of this formula in the dataset: 0.000 kcal/mol of atoms